Entry 1:
Here is crystalline Ce4GaSbS9 at its relaxed geometry from Materials Project. Energies are from PBE-GGA.

Cell: 13.8278 14.2531 14.4089 Å, 90.00 90.00 90.00°
Space group Aea2 (No. 41)
Unique sites:
Ce 0.1001 0.1717 0.0000 (multiplicity 8)
Ce 0.1036 0.1132 0.4391 (multiplicity 8)
Ce 0.1797 0.1666 0.7128 (multiplicity 8)
Ce 0.1851 0.3911 0.4861 (multiplicity 8)
Ga 0.0933 0.3962 0.2247 (multiplicity 8)
Sb 0.1152 0.4232 0.7548 (multiplicity 8)
S 0.0000 0.0000 0.0035 (multiplicity 4)
S 0.0000 0.0000 0.6362 (multiplicity 4)
S 0.0022 0.1926 0.8220 (multiplicity 8)
S 0.0685 0.2518 0.5716 (multiplicity 8)
S 0.0793 0.0941 0.2417 (multiplicity 8)
S 0.0999 0.4119 0.9274 (multiplicity 8)
S 0.1900 0.3046 0.1293 (multiplicity 8)
S 0.2012 0.4882 0.3093 (multiplicity 8)
S 0.2492 0.0582 0.5643 (multiplicity 8)
S 0.2488 0.2347 0.3805 (multiplicity 8)

Calculated values
Total magnetic moment (μB/atom): 0.27
MP2020-corrected energy (eV/f.u.): -94.8
Energy of formation from the pure elements (meV/atom): -1779
E_tot (eV/atom): -6.02

=====

Entry 2:
Here is crystalline UCo2 at its relaxed geometry from Materials Project. Energies are from PBE-GGA.

Cell: 6.9139 6.9139 6.9139 Å, 90.00 90.00 90.00°
Space group Fd-3m (No. 227, origin choice 2)
Unique sites:
U 0.1250 0.1250 0.1250 (multiplicity 8)
Co 0.0000 0.0000 0.5000 (multiplicity 16)

Calculated values
Energy of formation from the pure elements (meV/atom): -245
E_tot (eV/atom): -8.75